(1)
Below is a geometry-optimized Nb3Ga2Cl9 structure, with properties calculated at the GGA-PBE level.

a b c (Å): 10.233 16.306 9.551
angles (deg): 90.00 115.07 90.00
Space group C2/m (No. 12)
Unique sites:
Nb 0.120 0.000 0.370
Nb 0.134 0.090 0.643
Ga 0.117 0.338 0.836
Cl 0.000 0.213 0.500
Cl 0.018 0.106 0.821
Cl 0.180 0.500 0.165
Cl 0.193 0.296 0.164
Cl 0.201 0.393 0.483
Cl 0.226 0.500 0.792



(2)
Below is a geometry-optimized Ga2NiCl8 structure, with properties calculated at the GGA-PBE level.

a b c (Å): 17.525 8.025 11.698
angles (deg): 90.00 129.81 90.00
Space group C2/c (No. 15)
Unique sites:
Ga 0.084 0.243 0.033
Ni 0.000 0.003 0.750
Cl 0.067 0.214 0.690
Cl 0.081 0.223 0.220
Cl 0.147 0.015 0.009
Cl 0.158 0.470 0.058



(3)
Below is a geometry-optimized GaSbCl6 structure, with properties calculated at the GGA-PBE level.

a b c (Å): 10.657 7.932 13.651
angles (deg): 90.00 102.08 90.00
Space group P2_1/c (No. 14)
Unique sites:
Ga 0.159 0.236 0.079
Sb 0.256 0.732 0.126
Cl 0.004 0.103 0.124
Cl 0.120 0.119 0.441
Cl 0.243 0.084 0.705
Cl 0.319 0.054 0.070
Cl 0.320 0.686 0.795
Cl 0.458 0.664 0.095



(4)
Below is a geometry-optimized Ga2SbTe4Cl7 structure, with properties calculated at the GGA-PBE level.

a b c (Å): 7.356 19.524 14.745
angles (deg): 90.00 115.85 90.00
Space group P2_1/c (No. 14)
Unique sites:
Ga 0.069 0.220 0.265
Ga 0.265 0.647 0.945
Sb 0.180 0.017 0.916
Te 0.100 0.602 0.507
Te 0.440 0.015 0.250
Te 0.460 0.612 0.682
Te 0.491 0.080 0.093
Cl 0.002 0.085 0.638
Cl 0.008 0.114 0.286
Cl 0.185 0.218 0.902
Cl 0.239 0.233 0.178
Cl 0.254 0.738 0.836
Cl 0.287 0.697 0.081
Cl 0.460 0.094 0.534



(5)
Below is a geometry-optimized Ga2Te2Cl7 structure, with properties calculated at the GGA-PBE level.

a b c (Å): 9.627 11.412 13.781
angles (deg): 90.00 94.32 90.00
Space group P2_1/c (No. 14)
Unique sites:
Ga 0.122 0.180 0.205
Ga 0.260 0.582 0.342
Te 0.325 0.565 0.950
Te 0.434 0.155 0.465
Cl 0.027 0.528 0.353
Cl 0.043 0.163 0.632
Cl 0.112 0.169 0.364
Cl 0.271 0.722 0.237
Cl 0.318 0.646 0.491
Cl 0.324 0.123 0.163
Cl 0.364 0.078 0.806



(6)
Below is a geometry-optimized GdIn2Cl5 structure, with properties calculated at the GGA-PBE level.

a b c (Å): 13.012 8.556 8.182
angles (deg): 90.00 90.00 90.00
Space group Pnma (No. 62)
Unique sites:
Gd 0.003 0.250 0.072
In 0.172 0.005 0.550
Cl 0.009 0.250 0.409
Cl 0.074 0.543 0.160
Cl 0.175 0.250 0.887
Cl 0.197 0.750 0.843



(7)
Below is a geometry-optimized KGd2Cl7 structure, with properties calculated at the GGA-PBE level.

a b c (Å): 7.030 12.820 13.387
angles (deg): 90.00 90.69 90.00
Space group P2_1/c (No. 14)
Unique sites:
K 0.234 0.202 0.462
Gd 0.225 0.660 0.752
Gd 0.279 0.537 0.263
Cl 0.016 0.678 0.327
Cl 0.038 0.059 0.630
Cl 0.046 0.088 0.878
Cl 0.243 0.685 0.108
Cl 0.443 0.526 0.866
Cl 0.474 0.575 0.620
Cl 0.497 0.703 0.324



(8)
Below is a geometry-optimized K3GdCl6 structure, with properties calculated at the GGA-PBE level.

a b c (Å): 13.273 7.854 12.735
angles (deg): 90.00 108.57 90.00
Space group P2_1/c (No. 14)
Unique sites:
K 0.099 0.033 0.359
K 0.315 0.564 0.266
K 0.320 0.066 0.113
Gd 0.000 0.000 0.000
Gd 0.500 0.000 0.500
Cl 0.104 0.211 0.596
Cl 0.119 0.000 0.869
Cl 0.141 0.680 0.658
Cl 0.343 0.710 0.004
Cl 0.345 0.216 0.392
Cl 0.500 0.145 0.693



(9)
Below is a geometry-optimized K3GdCl6 structure, with properties calculated at the GGA-PBE level.

a b c (Å): 11.283 11.283 11.283
angles (deg): 90.00 90.00 90.00
Space group Fm-3m (No. 225)
Unique sites:
K 0.000 0.000 0.000
K 0.250 0.250 0.250
Gd 0.000 0.000 0.500
Cl 0.000 0.000 0.264



(10)
Below is a geometry-optimized K2LiGdCl6 structure, with properties calculated at the GGA-PBE level.

a b c (Å): 10.448 10.448 10.448
angles (deg): 90.00 90.00 90.00
Space group Fm-3m (No. 225)
Unique sites:
K 0.250 0.250 0.250
Li 0.000 0.000 0.000
Gd 0.000 0.000 0.500
Cl 0.000 0.000 0.246



(11)
Below is a geometry-optimized La3GdCl4O4 structure, with properties calculated at the GGA-PBE level.

a b c (Å): 4.096 8.190 6.951
angles (deg): 90.00 90.00 90.00
Space group Pmm2 (No. 25)
Unique sites:
La 0.000 0.000 0.000
La 0.500 0.252 0.352
Gd 0.000 0.500 0.015
Cl 0.000 0.000 0.545
Cl 0.000 0.500 0.550
Cl 0.500 0.253 0.810
O 0.000 0.255 0.175
O 0.500 0.000 0.178
O 0.500 0.500 0.172



(12)
Below is a geometry-optimized Na2LiGdCl6 structure, with properties calculated at the GGA-PBE level.

a b c (Å): 10.331 10.331 10.331
angles (deg): 90.00 90.00 90.00
Space group Fm-3m (No. 225)
Unique sites:
Na 0.250 0.250 0.250
Li 0.000 0.000 0.000
Gd 0.000 0.000 0.500
Cl 0.000 0.000 0.244



ΔE_f values, unit eV per atom, following the record order: -1.501, -1.421, -1.460, -1.038, -1.291, -1.945, -2.668, -2.484, -2.416, -2.426, -3.364, -2.237.